Record 1
{
  "formula": "TiO",
  "functional": "r²SCAN",
  "state": "relaxed",
  "cell": [[0.478, 1.609, 2.254], [-2.292, 0.426, -1.570], [-1.439, -1.822, 1.607]],
  "species": ["O", "Ti"],
  "frac_coords": [[0.667, 0.333, 0.000], [0.333, 0.667, 0.500]],
  "sg": "P-6m2 (187)",
  "vol_a3_per_atom": 9.7,
  "e_form_ev_per_atom": -2.713,
  "crystal_system": "hexagonal",
  "dft_energy_ev_per_cell": -24.3
}

Record 2
{
  "formula": "Ti2O",
  "functional": "r²SCAN",
  "state": "relaxed",
  "cell": [[-0.732, 2.372, -1.602], [-1.712, -0.846, 2.254], [2.547, 2.802, 2.986]],
  "species": ["Ti", "Ti", "O"],
  "frac_coords": [[0.667, 0.333, 0.270], [0.333, 0.667, 0.730], [0.000, 0.000, 0.000]],
  "sg": "P-3m1 (164)",
  "vol_a3_per_atom": 12.1,
  "e_form_ev_per_atom": -1.979,
  "crystal_system": "trigonal",
  "dft_energy_ev_per_cell": -37.8
}

Record 3
{
  "formula": "TiO2",
  "functional": "r²SCAN",
  "state": "relaxed",
  "cell": [[-3.656, -0.887, 0.309], [-2.191, -1.081, -5.955], [-0.340, -6.390, 0.687]],
  "species": ["O", "O", "O", "O", "O", "O", "O", "O", "Ti", "Ti", "Ti", "Ti"],
  "frac_coords": [[0.151, 0.351, 0.348], [0.160, 0.002, 0.679], [0.501, 0.348, 0.649], [0.161, 0.679, 0.998], [0.840, 0.998, 0.321], [0.839, 0.321, 0.002], [0.849, 0.649, 0.652], [0.499, 0.652, 0.351], [0.003, 0.705, 0.289], [0.997, 0.295, 0.711], [0.292, 0.711, 0.705], [0.708, 0.289, 0.295]],
  "sg": "I4/m (87)",
  "vol_a3_per_atom": 11.9,
  "e_form_ev_per_atom": -3.267,
  "crystal_system": "tetragonal",
  "dft_energy_ev_per_cell": -138.7
}

Record 4
{
  "formula": "Ti3O",
  "functional": "r²SCAN",
  "state": "relaxed",
  "cell": [[5.137, 0.000, 0.000], [-2.569, 4.449, 0.000], [0.000, 0.000, 9.483]],
  "species": ["Ti", "Ti", "Ti", "Ti", "Ti", "Ti", "Ti", "Ti", "Ti", "Ti", "Ti", "Ti", "O", "O", "O", "O"],
  "frac_coords": [[0.666, 0.672, 0.617], [0.006, 0.672, 0.883], [0.334, 0.328, 0.383], [0.994, 0.666, 0.383], [0.672, 0.006, 0.383], [0.994, 0.328, 0.117], [0.334, 0.006, 0.117], [0.006, 0.334, 0.617], [0.666, 0.994, 0.883], [0.328, 0.334, 0.883], [0.672, 0.666, 0.117], [0.328, 0.994, 0.617], [0.000, 0.000, 0.250], [0.000, 0.000, 0.750], [0.333, 0.667, 0.750], [0.667, 0.333, 0.250]],
  "sg": "P-31c (163)",
  "vol_a3_per_atom": 13.5,
  "e_form_ev_per_atom": -1.522,
  "crystal_system": "trigonal",
  "dft_energy_ev_per_cell": -203.5
}

Which formula does entry 1 have?
TiO